Entry 1:
Computed, not measured: crystalline As3Pb5ClO12 at its relaxed geometry at the PBE level of DFT.

Output
crystal system = hexagonal
energy above the most stable polymorph in this dataset = 4 meV/atom
E_form = -1.722 eV/atom
VASP energy = -243.4 eV/cell

a = 10.4629 Å, b = 10.4629 Å, c = 7.4819 Å
α = 90.00°, β = 90.00°, γ = 120.00°
Closest atoms and distances in Å follow each position.
Space group P6_3/m (No. 176)
One atom of each set of equivalent atoms:
1 As 0.0251 0.4055 0.2500 [6 per cell]  4 O 1.73-1.75
2 Pb 0.0104 0.7570 0.2500 [6 per cell]  5 O 2.41-2.69
3 Pb 0.3333 0.6667 0.5037 [4 per cell]  6 O 2.57-2.77
4 Cl 0.0000 0.0000 0.0000 [2 per cell]  6 Pb 3.20, 6 O 3.39
5 O 0.0913 0.3562 0.0669 [12 per cell]  1 As 1.73
6 O 0.1151 0.5980 0.2500 [6 per cell]  1 As 1.75
7 O 0.1645 0.6715 0.7500 [6 per cell]  1 As 1.73



Entry 2:
Computed, not measured: crystalline Lu2PbSe4 at its relaxed geometry at the PBE level of DFT.

Output
crystal system = orthorhombic
E_form = -1.730 eV/atom
VASP energy = -147.8 eV/cell

a = 12.6117 Å, b = 4.0691 Å, c = 14.7489 Å
α = 90.00°, β = 90.00°, γ = 90.00°
Closest atoms and distances in Å follow each position.
Space group Pnma (No. 62)
One atom of each set of equivalent atoms:
1 Lu 0.0602 0.2500 0.1124 [4 per cell]  6 Se 2.79-2.86
2 Lu 0.0833 0.2500 0.5969 [4 per cell]  6 Se 2.76-2.86
3 Pb 0.2405 0.2500 0.3331 [4 per cell]  8 Se 3.20-3.47
4 Se 0.0292 0.7500 0.7149 [4 per cell]  3 Lu 2.76-2.79
5 Se 0.0893 0.2500 0.9244 [4 per cell]  3 Lu 2.80-2.83
6 Se 0.1266 0.7500 0.4692 [4 per cell]  3 Lu 2.82-2.83
7 Se 0.2054 0.7500 0.1679 [4 per cell]  3 Lu 2.86



Entry 3:
Computed, not measured: crystalline F at its relaxed geometry at the PBE level of DFT.

Output
crystal system = orthorhombic
energy above the most stable polymorph in this dataset = 7 meV/atom
E_form = 0.007 eV/atom
VASP energy = -15.3 eV/cell

a = 7.0802 Å, b = 4.1838 Å, c = 6.3757 Å
α = 90.00°, β = 90.00°, γ = 90.00°
Closest atoms and distances in Å follow each position.
Space group Cmce (No. 64)
One atom of each set of equivalent atoms:
1 F 0.0000 0.0875 0.0960 [8 per cell]  1 F 1.43



Entry 4:
Computed, not measured: crystalline Sr5Ru2N6 at its relaxed geometry at the PBE level of DFT.

Output
crystal system = monoclinic
E_form = -0.622 eV/atom
VASP energy = -331.8 eV/cell

a = 10.5144 Å, b = 6.8980 Å, c = 13.2934 Å
α = 90.00°, β = 102.58°, γ = 90.00°
Closest atoms and distances in Å follow each position.
Space group C2/c (No. 15)
One atom of each set of equivalent atoms:
1 Sr 0.0000 0.1167 0.2500 [4 per cell]  6 N 2.58-2.84
2 Sr 0.0634 0.2387 0.9986 [8 per cell]  5 N 2.67-2.90
3 Sr 0.1589 0.3999 0.7177 [8 per cell]  5 N 2.54-2.77
4 Ru 0.2310 0.3996 0.4416 [8 per cell]  3 N 1.86-1.91
5 N 0.0553 0.4525 0.3760 [8 per cell]  1 Ru 1.90
6 N 0.1475 0.0434 0.6424 [8 per cell]  1 Ru 1.91
7 N 0.2082 0.0369 0.4206 [8 per cell]  1 Ru 1.86



The highest VASP energy belongs to which entry?
F



The highest VASP energy belongs to which entry?
F